(1)
Below is a relaxed U2CoAs2O24 crystal, with properties calculated at the GGA+U level.

Values from the calculation:
The calculated formation energy is -2411 kJ/mol of formula units. The calculation puts the energy with MP2020 corrections at -6.302 eV per atom. As for the space group: P-1, No. 2.

a = 7.1060 Å, b = 7.1838 Å, c = 11.0075 Å
α = 101.79°, β = 100.39°, γ = 91.39°
With the nearest neighbours (Å) after each atom.
Fractional positions:
U (0.2232, 0.2203, 0.3974)  2 O 1.82-1.84
U (0.7768, 0.7797, 0.6026)  2 O 1.82-1.84
Co (0.5000, 0.0000, 0.0000)  6 O 1.74-1.92
As (0.2468, 0.7510, 0.4974)  4 O 1.71-1.72
As (0.7532, 0.2490, 0.5026)  4 O 1.71-1.72
O (0.0859, 0.7397, 0.5959)  1 As 1.72
O (0.1530, 0.3111, 0.8167)  1 O 1.28
O (0.1744, 0.1621, 0.2234)  1 U 1.84
O (0.1807, 0.9106, 0.4035)  1 As 1.71
O (0.2477, 0.4704, 0.8297)  2 O 1.28-1.29
O (0.2577, 0.5322, 0.4009)  1 As 1.72
O (0.2756, 0.2769, 0.5692)  1 U 1.82
O (0.3485, 0.1760, 0.0461)  1 Co 1.74
O (0.3860, 0.8342, 0.0873)  1 O 1.29
O (0.4220, 0.4675, 0.8125)  1 O 1.29
O (0.4647, 0.0724, 0.8393)  1 O 1.29
O (0.4651, 0.8192, 0.5960)  1 As 1.72
O (0.5349, 0.1808, 0.4040)  1 As 1.72
O (0.5353, 0.9276, 0.1607)  1 O 1.29
O (0.5780, 0.5325, 0.1875)  1 O 1.29
O (0.6140, 0.1658, 0.9127)  1 O 1.29
O (0.6515, 0.8240, 0.9539)  1 Co 1.74
O (0.7244, 0.7231, 0.4308)  1 U 1.82
O (0.7423, 0.4678, 0.5991)  1 As 1.72
O (0.7523, 0.5296, 0.1703)  2 O 1.28-1.29
O (0.8193, 0.0894, 0.5965)  1 As 1.71
O (0.8256, 0.8379, 0.7766)  1 U 1.84
O (0.8470, 0.6889, 0.1833)  1 O 1.28
O (0.9141, 0.2603, 0.4041)  1 As 1.72

(2)
Below is a relaxed Na3VF6 crystal, with properties calculated at the GGA+U level.

Values from the calculation:
The calculated formation energy is -2958 kJ/mol of formula units. For the energy above the lowest structure with this stoichiometry, the calculation gives 0.0 meV per atom. The calculation puts the energy with MP2020 corrections at -5.520 eV per atom. As for the space group: P2_1/c, No. 14.

a = 5.6002 Å, b = 5.8294 Å, c = 9.8055 Å
α = 90.00°, β = 124.17°, γ = 90.00°
With the nearest neighbours (Å) after each atom.
Fractional positions:
Na (0.0000, 0.0000, 0.0000)  6 F 2.25-2.35
Na (0.0000, 0.5000, 0.5000)  6 F 2.25-2.35
Na (0.2253, 0.0540, 0.7406)  5 F 2.32-2.60
Na (0.2253, 0.4460, 0.2406)  5 F 2.32-2.60
Na (0.7747, 0.5540, 0.7594)  5 F 2.32-2.60
Na (0.7747, 0.9460, 0.2594)  5 F 2.32-2.60
V (0.5000, 0.0000, 0.5000)  6 F 1.98-1.99
V (0.5000, 0.5000, 0.0000)  6 F 1.98-1.99
F (0.1584, 0.1783, 0.4490)  1 V 1.98
F (0.1584, 0.3217, 0.9490)  1 V 1.98
F (0.2588, 0.7201, 0.4256)  1 V 1.98
F (0.2588, 0.7799, 0.9256)  1 V 1.98
F (0.3914, 0.0629, 0.2727)  1 V 1.99
F (0.3914, 0.4371, 0.7727)  1 V 1.99
F (0.6086, 0.5629, 0.2273)  1 V 1.99
F (0.6086, 0.9371, 0.7273)  1 V 1.99
F (0.7412, 0.2201, 0.0744)  1 V 1.98
F (0.7412, 0.2799, 0.5744)  1 V 1.98
F (0.8416, 0.6783, 0.0510)  1 V 1.98
F (0.8416, 0.8217, 0.5510)  1 V 1.98

(3)
Below is a relaxed Li5Fe3Sb2O10 crystal, with properties calculated at the GGA+U level.

Values from the calculation:
The calculated formation energy is -3724 kJ/mol of formula units. For the energy above the lowest structure with this stoichiometry, the calculation gives 0.0 meV per atom. The calculation puts the energy with MP2020 corrections at -6.565 eV per atom. As for the space group: P1, No. 1.

a = 6.9390 Å, b = 8.1782 Å, c = 8.2276 Å
α = 65.04°, β = 89.49°, γ = 88.75°
With the nearest neighbours (Å) after each atom.
Fractional positions:
Li (0.0000, 0.0000, 0.0000)  3 O 2.10-2.18
Li (0.0793, 0.0745, 0.6095)  3 O 2.01-2.22
Li (0.1830, 0.1728, 0.2163)  4 O 2.09-2.30
Li (0.2729, 0.2737, 0.8159)  5 O 2.09-2.26
Li (0.3704, 0.8797, 0.9038)  5 O 2.06-2.29
Li (0.4854, 0.4979, 0.0164)  4 O 2.07-2.32
Li (0.5726, 0.5717, 0.6124)  4 O 2.08-2.32
Li (0.6690, 0.6650, 0.2142)  3 O 2.01-2.16
Li (0.7591, 0.7443, 0.8172)  3 O 2.05-2.17
Li (0.8803, 0.3791, 0.9095)  6 O 2.18-2.27
Fe (0.2829, 0.7731, 0.3018)  6 O 2.05-2.29
Fe (0.3771, 0.3786, 0.4100)  4 O 2.02-2.25
Fe (0.4763, 0.9713, 0.5129)  6 O 2.10-2.24
Fe (0.7762, 0.2790, 0.2987)  5 O 2.05-2.23
Fe (0.8753, 0.8725, 0.4107)  6 O 2.05-2.27
Fe (0.9803, 0.4717, 0.5213)  6 O 2.10-2.29
Sb (0.0621, 0.5762, 0.1157)  4 O 2.15-2.32
Sb (0.1838, 0.6758, 0.7100)  6 O 1.99-2.07
Sb (0.5724, 0.0756, 0.1054)  6 O 2.01-2.10
Sb (0.6857, 0.1728, 0.7068)  6 O 2.00-2.07
O (0.0801, 0.3221, 0.3535)  2 Li 2.09-2.22, 1 Sb 2.17, 3 Fe 2.22-2.29
O (0.1021, 0.8368, 0.8255)  1 Sb 1.99, 2 Li 2.01-2.06
O (0.1810, 0.9026, 0.4679)  1 Sb 2.07, 3 Fe 2.16-2.22, 2 Li 2.27-2.30
O (0.1832, 0.4426, 0.9356)  1 Sb 2.02, 2 Li 2.09-2.21
O (0.2727, 0.5299, 0.5741)  1 Sb 2.03, 2 Li 2.16-2.20, 1 Fe 2.18
O (0.2989, 0.0302, 0.0614)  1 Sb 2.01, 4 Li 2.16-2.20, 1 Fe 2.20
O (0.3928, 0.6122, 0.1870)  2 Li 2.01-2.08, 2 Fe 2.02-2.05
O (0.4090, 0.1411, 0.6497)  1 Sb 2.03, 2 Fe 2.11-2.17, 1 Li 2.26
O (0.4653, 0.7253, 0.7409)  1 Sb 2.04, 4 Li 2.08-2.28, 1 Fe 2.10
O (0.4810, 0.2087, 0.2520)  1 Sb 2.03, 1 Li 2.13, 2 Fe 2.20-2.22
O (0.5801, 0.8454, 0.3320)  1 Sb 2.01, 1 Li 2.16, 3 Fe 2.20-2.24
O (0.5866, 0.2985, 0.8648)  2 Sb 2.05-2.07, 2 Li 2.24-2.25
O (0.6711, 0.9480, 0.9450)  2 Sb 2.05-2.10, 1 Li 2.24
O (0.6793, 0.4086, 0.4885)  1 Sb 2.00, 1 Li 2.11, 1 Fe 2.21
O (0.7688, 0.0385, 0.5573)  1 Sb 2.04, 3 Fe 2.19-2.27, 1 Li 2.25
O (0.7730, 0.5156, 0.0709)  1 Fe 2.05, 4 Li 2.07-2.18, 1 Sb 2.15
O (0.8482, 0.1139, 0.1565)  1 Sb 2.02, 1 Li 2.14, 2 Fe 2.18-2.19
O (0.9036, 0.6353, 0.6665)  1 Sb 2.04, 2 Li 2.05-2.21, 2 Fe 2.19
O (0.9574, 0.2202, 0.7506)  1 Sb 2.00, 2 Li 2.10-2.14, 1 Fe 2.13
O (0.9690, 0.7144, 0.2874)  3 Fe 2.05-2.26, 1 Sb 2.23, 1 Li 2.26

(4)
Below is a relaxed Cu3NiH6Cl2O6 crystal, with properties calculated at the GGA+U level.

Values from the calculation:
The calculated formation energy is -1865 kJ/mol of formula units. The calculation puts the energy with MP2020 corrections at -5.064 eV per atom. As for the space group: P1, No. 1.

a = 6.0840 Å, b = 6.9704 Å, c = 9.2868 Å
α = 89.89°, β = 78.04°, γ = 89.80°
With the nearest neighbours (Å) after each atom.
Fractional positions:
Cu (0.0000, 0.0000, 0.0000)  4 O 1.99-2.00
Cu (0.0001, 0.4997, 0.0000)  4 O 1.99-2.00
Cu (0.2494, 0.2492, 0.2524)  4 O 1.99
Cu (0.4997, 0.9997, 0.5002)  4 O 1.99-2.00
Cu (0.5007, 0.4993, 0.4995)  4 O 1.99
Cu (0.7517, 0.7503, 0.7473)  4 O 1.99-2.00
Ni (0.2510, 0.7499, 0.7493)  6 O 2.09-2.11
Ni (0.7506, 0.2501, 0.2497)  6 O 2.09-2.10
H (0.0034, 0.9499, 0.2723)  1 O 0.99
H (0.0041, 0.5493, 0.2722)  1 O 0.99
H (0.2038, 0.7501, 0.4738)  1 O 0.99
H (0.2965, 0.7497, 0.0263)  1 O 0.99
H (0.4960, 0.5496, 0.2275)  1 O 0.99
H (0.4969, 0.9494, 0.2275)  1 O 0.99
H (0.5039, 0.0506, 0.7725)  1 O 0.99
H (0.5048, 0.4505, 0.7722)  1 O 0.99
H (0.7036, 0.2500, 0.9730)  1 O 0.99
H (0.7966, 0.2494, 0.5260)  1 O 0.99
H (0.9965, 0.4505, 0.7275)  1 O 0.99
H (0.9971, 0.0497, 0.7272)  1 O 0.99
Cl (0.1116, 0.2499, 0.5691)  3 H 2.04-2.05
Cl (0.3899, 0.2501, 0.9295)  3 H 2.03-2.04
Cl (0.6109, 0.7496, 0.0702)  3 H 2.03-2.04
Cl (0.8895, 0.7497, 0.4302)  3 H 2.04
O (0.0272, 0.0627, 0.2051)  1 H 0.99
O (0.0268, 0.4365, 0.2052)  1 H 0.99
O (0.1641, 0.7497, 0.9789)  1 H 0.99
O (0.3385, 0.7498, 0.5189)  1 H 0.99
O (0.4740, 0.4369, 0.2947)  1 H 0.99
O (0.4782, 0.0630, 0.2936)  1 H 0.99
O (0.5236, 0.9373, 0.7061)  1 H 0.99
O (0.5270, 0.5626, 0.7043)  1 H 0.99
O (0.6622, 0.2491, 0.4807)  1 H 0.99
O (0.8367, 0.2499, 0.0197)  1 H 0.99
O (0.9741, 0.5630, 0.7947)  1 H 0.99
O (0.9742, 0.9371, 0.7945)  1 H 0.99

(5)
Below is a relaxed KLaFeSbO6 crystal, with properties calculated at the GGA+U level.

Values from the calculation:
The calculated formation energy is -2268 kJ/mol of formula units. The calculation puts the energy with MP2020 corrections at -7.184 eV per atom. As for the space group: F-43m, No. 216.

a = 5.6602 Å, b = 5.6602 Å, c = 5.6602 Å
α = 60.00°, β = 60.00°, γ = 60.00°
With the nearest neighbours (Å) after each atom.
Fractional positions:
K (0.0000, 0.0000, 0.0000)  12 O 2.83
La (0.5000, 0.5000, 0.5000)  12 O 2.83
Fe (0.7500, 0.7500, 0.7500)  6 O 2.01
Sb (0.2500, 0.2500, 0.2500)  6 O 1.99
O (0.0015, 0.0015, 0.4985)  1 Sb 1.99, 1 Fe 2.01
O (0.0015, 0.4985, 0.0015)  1 Sb 1.99, 1 Fe 2.01
O (0.0015, 0.4985, 0.4985)  1 Sb 1.99, 1 Fe 2.01
O (0.4985, 0.0015, 0.0015)  1 Sb 1.99, 1 Fe 2.01
O (0.4985, 0.0015, 0.4985)  1 Sb 1.99, 1 Fe 2.01
O (0.4985, 0.4985, 0.0015)  1 Sb 1.99, 1 Fe 2.01

(6)
Below is a relaxed RbMgV2FeAg2O8 crystal, with properties calculated at the GGA+U level.

Values from the calculation:
The calculated formation energy is -2607 kJ/mol of formula units. The calculation puts the energy with MP2020 corrections at -6.766 eV per atom. As for the space group: P1, No. 1.

a = 5.7113 Å, b = 5.7280 Å, c = 7.8877 Å
α = 94.41°, β = 93.66°, γ = 119.13°
With the nearest neighbours (Å) after each atom.
Fractional positions:
Rb (0.0000, 0.0000, 0.0000)  5 O 2.73-3.06, 1 Mg 3.05
Mg (0.3893, 0.4405, 0.8026)  4 O 1.97-2.10
V (0.4033, 0.7235, 0.2153)  4 O 1.74-1.79
V (0.8222, 0.4704, 0.6736)  4 O 1.78-1.91
Fe (0.1004, 0.0936, 0.4461)  6 O 2.05-2.29
Ag (0.5151, 0.8697, 0.5995)  2 O 2.19-2.23
Ag (0.7319, 0.3884, 0.1995)  4 O 2.42-2.45
O (0.0855, 0.3887, 0.6407)  1 V 1.81, 1 Mg 1.97
O (0.1584, 0.7979, 0.2842)  1 V 1.75
O (0.3476, 0.4200, 0.2829)  1 V 1.74
O (0.3772, 0.6826, 0.9921)  1 V 1.75
O (0.4495, 0.2170, 0.6035)  1 V 1.91, 1 Fe 2.05, 1 Mg 2.10
O (0.7321, 0.4581, 0.8971)  1 V 1.86, 1 Mg 2.00
O (0.7332, 0.9957, 0.2940)  1 V 1.79
O (0.8541, 0.7804, 0.6198)  1 V 1.78

Number 1: mass density 3287 kg/m³. Number 2: mass density 2933 kg/m³. Number 3: mass density 4754 kg/m³. Number 4: mass density 3640 kg/m³. Number 5: mass density 5848 kg/m³. Number 6: mass density 4547 kg/m³.